# CoMoN3 PBE optimized geometry
# Calculated total energy ... -8.245 eV per atom
data_CoMoN3
_chemical_formula_sum 'Co4 Mo4 N12'
_cell_length_a 6.352
_cell_length_b 7.820
_cell_length_c 8.457
_cell_angle_alpha 71.13
_cell_angle_beta 68.74
_cell_angle_gamma 82.92
_symmetry_space_group_name_H-M 'P 1'
_symmetry_Int_Tables_number 1
_symmetry_space_group_name_Hall 'P 1'
loop_
_atom_site_label
_atom_site_type_symbol
_atom_site_fract_x
_atom_site_fract_y
_atom_site_fract_z
_atom_site_occupancy
Co1 Co 0.160 0.042 0.341 1
Co2 Co 0.190 0.747 0.579 1
Co3 Co 0.810 0.253 0.421 1
Co4 Co 0.840 0.958 0.659 1
Mo1 Mo 0.346 0.310 0.075 1
Mo2 Mo 0.440 0.625 0.301 1
Mo3 Mo 0.560 0.375 0.699 1
Mo4 Mo 0.654 0.690 0.925 1
N1 N 0.037 0.254 0.232 1
N2 N 0.188 0.816 0.362 1
N3 N 0.337 0.236 0.868 1
N4 N 0.379 0.526 0.151 1
N5 N 0.403 0.594 0.583 1
N6 N 0.454 0.123 0.210 1
N7 N 0.546 0.877 0.790 1
N8 N 0.597 0.406 0.417 1
N9 N 0.621 0.474 0.849 1
N10 N 0.663 0.764 0.132 1
N11 N 0.812 0.184 0.638 1
N12 N 0.963 0.746 0.768 1